Record 1
Here is a relaxed structure of V4Si4O13 from the Materials Project database. Energies are from PBE+U.

Calculated values
**Calculated formation energy**: -2.8178 eV per atom

a = 6.9611 Å, b = 7.8298 Å, c = 10.1154 Å
α = 67.73°, β = 79.87°, γ = 77.61°
Space group P-1 (No. 2)
One atom of each set of equivalent atoms:
V (0.0758, 0.1963, 0.4875) (multiplicity 2)
V (0.0766, 0.5558, 0.1257) (multiplicity 2)
V (0.4196, 0.8015, 0.5079) (multiplicity 2)
V (0.4227, 0.4489, 0.8781) (multiplicity 2)
Si (0.1218, 0.8471, 0.7886) (multiplicity 2)
Si (0.2283, 0.8548, 0.2174) (multiplicity 2)
Si (0.2343, 0.4107, 0.6742) (multiplicity 2)
Si (0.4325, 0.1569, 0.2091) (multiplicity 2)
O (0.0052, 0.5314, 0.6602) (multiplicity 2)
O (0.0186, 0.9854, 0.1681) (multiplicity 2)
O (0.0841, 0.6344, 0.8970) (multiplicity 2)
O (0.1285, 0.8905, 0.6152) (multiplicity 2)
O (0.2141, 0.3021, 0.8500) (multiplicity 2)
O (0.2190, 0.7692, 0.3926) (multiplicity 2)
O (0.2769, 0.6997, 0.1399) (multiplicity 2)
O (0.3063, 0.2749, 0.5784) (multiplicity 2)
O (0.3339, 0.8551, 0.8228) (multiplicity 2)
O (0.3505, 0.3748, 0.1118) (multiplicity 2)
O (0.3775, 0.1032, 0.3853) (multiplicity 2)
O (0.3866, 0.0008, 0.1560) (multiplicity 2)
O (0.3980, 0.5511, 0.6508) (multiplicity 2)

Record 2
Here is a relaxed structure of KMgNiIO6 from the Materials Project database. Energies are from PBE+U.

Calculated values
**Calculated formation energy**: -1.4928 eV per atom
**ΔE to the lowest computed polymorph**: 132 meV per atom

a = 5.4394 Å, b = 5.4394 Å, c = 5.4435 Å
α = 90.00°, β = 90.00°, γ = 120.00°
Space group P312 (No. 149)
One atom of each set of equivalent atoms:
K (0.0000, 0.0000, 0.0000) (multiplicity 1)
Mg (0.6667, 0.3333, 0.0000) (multiplicity 1)
Ni (0.3333, 0.6667, 0.5000) (multiplicity 1)
I (0.6667, 0.3333, 0.5000) (multiplicity 1)
O (0.4158, 0.0349, 0.7156) (multiplicity 6)

Record 3
Here is a relaxed structure of Co5CuO8 from the Materials Project database. Energies are from PBE+U.

Calculated values
**Calculated formation energy**: -1.2655 eV per atom
**ΔE to the lowest computed polymorph**: 0 meV per atom

a = 5.7675 Å, b = 5.7688 Å, c = 10.0868 Å
α = 89.96°, β = 73.46°, γ = 60.04°
Space group P1 (No. 1)
One atom of each set of equivalent atoms:
Co (0.0000, 0.0000, 0.0000) (multiplicity 1)
Co (0.0004, 0.4991, 0.0003) (multiplicity 1)
Co (0.3724, 0.0644, 0.6850) (multiplicity 1)
Co (0.3733, 0.5664, 0.1851) (multiplicity 1)
Co (0.4976, 0.5036, 0.5008) (multiplicity 1)
Co (0.5001, 0.0004, 0.0000) (multiplicity 1)
Co (0.6215, 0.9412, 0.3138) (multiplicity 1)
Co (0.6249, 0.4408, 0.8143) (multiplicity 1)
Co (0.9969, 0.0039, 0.5010) (multiplicity 1)
Co (0.9968, 0.5042, 0.5014) (multiplicity 1)
Cu (0.9973, 0.2534, 0.2507) (multiplicity 1)
Cu (0.9974, 0.7516, 0.7508) (multiplicity 1)
O (0.2081, 0.1485, 0.3898) (multiplicity 1)
O (0.2128, 0.6427, 0.8879) (multiplicity 1)
O (0.2348, 0.6349, 0.3947) (multiplicity 1)
O (0.2371, 0.1315, 0.8941) (multiplicity 1)
O (0.2404, 0.8604, 0.6151) (multiplicity 1)
O (0.2410, 0.4048, 0.6137) (multiplicity 1)
O (0.2424, 0.9015, 0.1148) (multiplicity 1)
O (0.2445, 0.3554, 0.1130) (multiplicity 1)
O (0.7525, 0.1483, 0.3895) (multiplicity 1)
O (0.7535, 0.6029, 0.3891) (multiplicity 1)
O (0.7540, 0.6437, 0.8892) (multiplicity 1)
O (0.7557, 0.1005, 0.8874) (multiplicity 1)
O (0.7599, 0.3710, 0.6073) (multiplicity 1)
O (0.7638, 0.8680, 0.1054) (multiplicity 1)
O (0.7845, 0.8603, 0.6134) (multiplicity 1)
O (0.7871, 0.3559, 0.1126) (multiplicity 1)

Record 4
Here is a relaxed structure of V4O5F7 from the Materials Project database. Energies are from PBE+U.

Calculated values
**Calculated formation energy**: -2.7332 eV per atom
**ΔE to the lowest computed polymorph**: 30 meV per atom

a = 5.2689 Å, b = 5.4196 Å, c = 7.5232 Å
α = 88.04°, β = 89.88°, γ = 89.69°
Space group P1 (No. 1)
One atom of each set of equivalent atoms:
V (0.0000, 0.0000, 0.0000) (multiplicity 1)
V (0.0019, 0.0616, 0.5095) (multiplicity 1)
V (0.4932, 0.4951, 0.0118) (multiplicity 1)
V (0.5046, 0.5703, 0.5241) (multiplicity 1)
O (0.2412, 0.8066, 0.9675) (multiplicity 1)
O (0.2419, 0.2491, 0.5429) (multiplicity 1)
O (0.5432, 0.5380, 0.7460) (multiplicity 1)
O (0.6851, 0.2508, 0.0344) (multiplicity 1)
O (0.6852, 0.8120, 0.4688) (multiplicity 1)
F (0.0498, 0.0352, 0.2545) (multiplicity 1)
F (0.1783, 0.3139, 0.9594) (multiplicity 1)
F (0.1839, 0.7419, 0.5426) (multiplicity 1)
F (0.3893, 0.5272, 0.2624) (multiplicity 1)
F (0.7421, 0.3189, 0.4585) (multiplicity 1)
F (0.7440, 0.7503, 0.0588) (multiplicity 1)
F (0.8750, 0.0253, 0.7537) (multiplicity 1)

Record 5
Here is a relaxed structure of Na2MnP2O7 from the Materials Project database. Energies are from PBE+U.

Calculated values
**Calculated formation energy**: -2.6026 eV per atom
**ΔE to the lowest computed polymorph**: 0 meV per atom

a = 6.6886 Å, b = 9.6866 Å, c = 11.2080 Å
α = 64.86°, β = 86.00°, γ = 73.20°
Space group P1 (No. 1)
One atom of each set of equivalent atoms:
Na (0.0000, 0.0000, 0.0000) (multiplicity 1)
Na (0.0093, 0.6234, 0.3211) (multiplicity 1)
Na (0.1911, 0.3446, 0.6332) (multiplicity 1)
Na (0.3491, 0.6303, 0.8394) (multiplicity 1)
Na (0.4539, 0.9668, 0.9283) (multiplicity 1)
Na (0.5588, 0.6603, 0.5017) (multiplicity 1)
Na (0.6227, 0.3029, 0.4517) (multiplicity 1)
Na (0.7715, 0.3361, 0.0793) (multiplicity 1)
Mn (0.2446, 0.9733, 0.2491) (multiplicity 1)
Mn (0.3183, 0.3717, 0.1971) (multiplicity 1)
Mn (0.8614, 0.5895, 0.7631) (multiplicity 1)
Mn (0.9391, 0.9878, 0.7104) (multiplicity 1)
P (0.0095, 0.7748, 0.5215) (multiplicity 1)
P (0.1627, 0.1862, 0.4382) (multiplicity 1)
P (0.2992, 0.2872, 0.9364) (multiplicity 1)
P (0.4579, 0.9398, 0.6650) (multiplicity 1)
P (0.5319, 0.6542, 0.1926) (multiplicity 1)
P (0.6592, 0.3060, 0.7667) (multiplicity 1)
P (0.7209, 0.0225, 0.2926) (multiplicity 1)
P (0.8931, 0.6721, 0.0196) (multiplicity 1)
O (0.0363, 0.7757, 0.6575) (multiplicity 1)
O (0.0482, 0.5701, 0.1390) (multiplicity 1)
O (0.1472, 0.1869, 0.3009) (multiplicity 1)
O (0.1558, 0.4023, 0.8133) (multiplicity 1)
O (0.2006, 0.7803, 0.4386) (multiplicity 1)
O (0.2260, 0.1418, 0.0256) (multiplicity 1)
O (0.2356, 0.3304, 0.4234) (multiplicity 1)
O (0.2804, 0.9518, 0.7597) (multiplicity 1)
O (0.3286, 0.7910, 0.1675) (multiplicity 1)
O (0.3510, 0.0256, 0.5160) (multiplicity 1)
O (0.3585, 0.3746, 0.0078) (multiplicity 1)
O (0.5079, 0.5268, 0.1529) (multiplicity 1)
O (0.5161, 0.2058, 0.8814) (multiplicity 1)
O (0.5383, 0.3823, 0.6336) (multiplicity 1)
O (0.5586, 0.7673, 0.6854) (multiplicity 1)
O (0.5695, 0.9336, 0.2883) (multiplicity 1)
O (0.6089, 0.0285, 0.6717) (multiplicity 1)
O (0.6193, 0.1945, 0.2728) (multiplicity 1)
O (0.6481, 0.5841, 0.3264) (multiplicity 1)
O (0.6799, 0.7487, 0.0781) (multiplicity 1)
O (0.6838, 0.4267, 0.8150) (multiplicity 1)
O (0.8252, 0.9361, 0.4437) (multiplicity 1)
O (0.8380, 0.5755, 0.9556) (multiplicity 1)
O (0.8643, 0.1759, 0.7825) (multiplicity 1)
O (0.9039, 0.0111, 0.2015) (multiplicity 1)
O (0.9304, 0.6310, 0.5431) (multiplicity 1)
O (0.9518, 0.8190, 0.9196) (multiplicity 1)
O (0.9707, 0.1720, 0.5182) (multiplicity 1)

Number 1: raw total energy -7.90 eV per atom. Number 2: raw total energy -4.80 eV per atom. Number 3: raw total energy -5.95 eV per atom. Number 4: raw total energy -6.55 eV per atom. Number 5: raw total energy -6.84 eV per atom.